[1]
Li2Ni3TeO8: optimized geometry, PBE with a Hubbard U.

a = 5.923 Å, b = 10.495 Å, c = 5.923 Å
α = 107.19°, β = 59.59°, γ = 90.97°
Fractional positions:
Li 0.927 0.203 0.130
Li 0.427 0.703 0.130
Li 0.573 0.297 0.870
Li 0.073 0.797 0.870
Ni 0.000 0.000 0.500
Ni 0.500 0.000 0.500
Ni 0.500 0.000 0.000
Ni 0.500 0.500 0.500
Ni 0.000 0.500 0.500
Ni 0.000 0.500 0.000
Te 0.750 0.750 0.500
Te 0.250 0.250 0.500
O 0.854 0.406 0.260
O 0.353 0.906 0.259
O 0.646 0.094 0.740
O 0.147 0.594 0.741
O 0.631 0.626 0.717
O 0.131 0.126 0.717
O 0.633 0.634 0.267
O 0.133 0.134 0.267
O 0.091 0.626 0.258
O 0.591 0.126 0.258
O 0.409 0.874 0.742
O 0.909 0.374 0.742
O 0.867 0.865 0.732
O 0.367 0.366 0.733
O 0.869 0.874 0.283
O 0.368 0.374 0.283

Properties
E above lowest polymorph: 0.000 eV per formula unit
DFT formation energy: -1.530 eV/atom
Mass density: 4.9 g/cm³
Energy with MP2020 corrections: -170.6 eV per cell

[2]
Li2Ni3TeO8: optimized geometry, PBE with a Hubbard U.

a = 6.020 Å, b = 6.020 Å, c = 6.020 Å
α = 58.77°, β = 58.77°, γ = 58.78°
Fractional positions:
Li 0.135 0.135 0.135
Li 0.865 0.865 0.865
Ni 0.000 0.500 0.500
Ni 0.500 0.000 0.500
Ni 0.500 0.500 0.000
Te 0.500 0.500 0.500
O 0.270 0.270 0.270
O 0.268 0.268 0.724
O 0.268 0.724 0.268
O 0.724 0.268 0.268
O 0.276 0.732 0.732
O 0.732 0.276 0.732
O 0.732 0.732 0.276
O 0.730 0.730 0.730

Properties
E above lowest polymorph: 0.006 eV per formula unit
DFT formation energy: -1.529 eV/atom
Mass density: 4.9 g/cm³
Energy with MP2020 corrections: -85.3 eV per cell

[3]
Li3Ni3TeO8: optimized geometry, PBE with a Hubbard U.

a = 6.024 Å, b = 6.024 Å, c = 6.024 Å
α = 59.74°, β = 59.74°, γ = 59.74°
Fractional positions:
Li 0.000 0.000 0.500
Li 0.000 0.500 0.000
Li 0.500 0.000 0.000
Ni 0.500 0.500 0.000
Ni 0.500 0.000 0.500
Ni 0.000 0.500 0.500
Te 0.000 0.000 0.000
O 0.737 0.737 0.737
O 0.229 0.229 0.766
O 0.229 0.766 0.229
O 0.263 0.263 0.263
O 0.766 0.229 0.229
O 0.771 0.771 0.234
O 0.771 0.234 0.771
O 0.234 0.771 0.771

Properties
DFT formation energy: -1.640 eV/atom
Mass density: 4.9 g/cm³
Energy with MP2020 corrections: -90.4 eV per cell